Record 1
The following is a PBE with a Hubbard U calculation of a relaxed NaNiH4SO6F crystal, from the Materials Project.

CIF file:
```
data_NaNiH4SO6F
_space_group_name_H-M_alt 'P 1'
_space_group_IT_number 1
_cell_length_a 5.7589
_cell_length_b 7.3146
_cell_length_c 7.3032
_cell_angle_alpha 90.00
_cell_angle_beta 90.00
_cell_angle_gamma 113.66
loop_
_space_group_symop_operation_xyz
'x,y,z'
loop_
_atom_site_label
_atom_site_type_symbol
_atom_site_fract_x
_atom_site_fract_y
_atom_site_fract_z
_atom_site_occupancy
Na1 Na 0.4303 0.2987 0.2500 1
Na2 Na 0.5697 0.7013 0.7500 1
Ni1 Ni 0.0000 0.5000 0.5000 1
Ni2 Ni 0.0000 0.5000 0.0000 1
H1 H 0.0768 0.8667 0.9107 1
H2 H 0.9232 0.1333 0.4107 1
H3 H 0.9232 0.1333 0.0893 1
H4 H 0.0768 0.8667 0.5893 1
H5 H 0.8753 0.7988 0.4288 1
H6 H 0.1247 0.2012 0.9288 1
H7 H 0.1247 0.2012 0.5712 1
H8 H 0.8753 0.7988 0.0712 1
S1 S 0.4507 0.8055 0.2500 1
S2 S 0.5493 0.1945 0.7500 1
O1 O 0.3742 0.6752 0.4171 1
O2 O 0.6258 0.3248 0.9171 1
O3 O 0.6258 0.3248 0.5829 1
O4 O 0.3742 0.6752 0.0829 1
O5 O 0.7390 0.9047 0.2500 1
O6 O 0.2610 0.0953 0.7500 1
O7 O 0.3428 0.9555 0.2500 1
O8 O 0.6572 0.0445 0.7500 1
O9 O 0.9260 0.7534 0.9558 1
O10 O 0.0740 0.2466 0.4558 1
O11 O 0.0740 0.2466 0.0442 1
O12 O 0.9260 0.7534 0.5442 1
F1 F 0.8500 0.4759 0.2500 1
F2 F 0.1500 0.5241 0.7500 1
```

=====

Record 2
The following is a PBE with a Hubbard U calculation of a relaxed Ta4Mn2Zn3O16 crystal, from the Materials Project.

CIF file:
```
data_Ta4Mn2Zn3O16
_space_group_name_H-M_alt 'P 1'
_space_group_IT_number 1
_cell_length_a 5.9233
_cell_length_b 10.0913
_cell_length_c 10.4171
_cell_angle_alpha 89.55
_cell_angle_beta 92.38
_cell_angle_gamma 104.75
loop_
_space_group_symop_operation_xyz
'x,y,z'
loop_
_atom_site_label
_atom_site_type_symbol
_atom_site_fract_x
_atom_site_fract_y
_atom_site_fract_z
_atom_site_occupancy
Ta1 Ta 0.2779 0.2298 0.3702 1
Ta2 Ta 0.2780 0.2297 0.8702 1
Ta3 Ta 0.0448 0.7655 0.3884 1
Ta4 Ta 0.0449 0.7655 0.8884 1
Ta5 Ta 0.7297 0.7648 0.1289 1
Ta6 Ta 0.7297 0.7647 0.6288 1
Ta7 Ta 0.9571 0.2382 0.1178 1
Ta8 Ta 0.9571 0.2382 0.6178 1
Mn1 Mn 0.6503 0.9996 0.8738 1
Mn2 Mn 0.3534 0.9969 0.1280 1
Mn3 Mn 0.6503 0.9996 0.3739 1
Mn4 Mn 0.3530 0.9967 0.6280 1
Zn1 Zn 0.4402 0.5711 0.3834 1
Zn2 Zn 0.4403 0.5712 0.8834 1
Zn3 Zn 0.8832 0.4471 0.3575 1
Zn4 Zn 0.8833 0.4471 0.8575 1
Zn5 Zn 0.5438 0.4398 0.1147 1
Zn6 Zn 0.5438 0.4398 0.6147 1
O1 O 0.2106 0.1323 0.0374 1
O2 O 0.2104 0.1323 0.5374 1
O3 O 0.0373 0.8652 0.2226 1
O4 O 0.0373 0.8651 0.7227 1
O5 O 0.8005 0.8723 0.4617 1
O6 O 0.8006 0.8722 0.9617 1
O7 O 0.9718 0.1346 0.2805 1
O8 O 0.9718 0.1346 0.7805 1
O9 O 0.4430 0.1079 0.2907 1
O10 O 0.4429 0.1078 0.7907 1
O11 O 0.3123 0.8882 0.4709 1
O12 O 0.3124 0.8883 0.9710 1
O13 O 0.5610 0.8933 0.2111 1
O14 O 0.5608 0.8931 0.7110 1
O15 O 0.7030 0.1137 0.0282 1
O16 O 0.7029 0.1138 0.5283 1
O17 O 0.2723 0.3441 0.2121 1
O18 O 0.2724 0.3441 0.7122 1
O19 O 0.9274 0.6646 0.0416 1
O20 O 0.9274 0.6646 0.5415 1
O21 O 0.8009 0.3646 0.1816 1
O22 O 0.8010 0.3646 0.6817 1
O23 O 0.4721 0.6179 0.0701 1
O24 O 0.4721 0.6179 0.5701 1
O25 O 0.1523 0.6131 0.3324 1
O26 O 0.1524 0.6131 0.8324 1
O27 O 0.5501 0.3860 0.4248 1
O28 O 0.5501 0.3860 0.9248 1
O29 O 0.0751 0.3413 0.4596 1
O30 O 0.0751 0.3413 0.9596 1
O31 O 0.7222 0.6529 0.2910 1
O32 O 0.7223 0.6528 0.7910 1
```

=====

Record 3
The following is a PBE with a Hubbard U calculation of a relaxed Mg2Nb2NiO8 crystal, from the Materials Project.

CIF file:
```
data_Mg2Nb2NiO8
_space_group_name_H-M_alt 'P 1'
_space_group_IT_number 1
_cell_length_a 9.9680
_cell_length_b 9.9680
_cell_length_c 5.1798
_cell_angle_alpha 89.67
_cell_angle_beta 89.67
_cell_angle_gamma 35.05
loop_
_space_group_symop_operation_xyz
'x,y,z'
loop_
_atom_site_label
_atom_site_type_symbol
_atom_site_fract_x
_atom_site_fract_y
_atom_site_fract_z
_atom_site_occupancy
Mg1 Mg 0.5860 0.8711 0.7469 1
Mg2 Mg 0.1289 0.4140 0.7531 1
Mg3 Mg 0.4140 0.1289 0.2531 1
Mg4 Mg 0.8711 0.5860 0.2469 1
Nb1 Nb 0.7151 0.0559 0.7567 1
Nb2 Nb 0.9441 0.2849 0.7433 1
Nb3 Nb 0.2849 0.9441 0.2433 1
Nb4 Nb 0.0559 0.7151 0.2567 1
Ni1 Ni 0.3539 0.6461 0.7500 1
Ni2 Ni 0.6461 0.3539 0.2500 1
O1 O 0.8157 0.0446 0.4179 1
O2 O 0.9554 0.1843 0.0821 1
O3 O 0.1843 0.9554 0.5821 1
O4 O 0.0446 0.8157 0.9179 1
O5 O 0.5646 0.3209 0.9162 1
O6 O 0.6791 0.4354 0.5838 1
O7 O 0.4354 0.6791 0.0838 1
O8 O 0.3209 0.5646 0.4162 1
O9 O 0.7070 0.9185 0.0407 1
O10 O 0.0815 0.2930 0.4593 1
O11 O 0.1632 0.4554 0.1152 1
O12 O 0.5446 0.8368 0.3848 1
O13 O 0.8368 0.5446 0.8848 1
O14 O 0.4554 0.1632 0.6152 1
O15 O 0.9185 0.7070 0.5407 1
O16 O 0.2930 0.0815 0.9593 1
```

=====

Calculated energy with MP2020 corrections in order - -161.31; -430.72; -210.14 eV for the cell shown
Calculated formation energy from the elements in order - -1.73; -2.67; -2.79 eV/atom